Record 1
First-principles (r2SCAN) data for a geometry-optimized Tm2TeO2 structure, as listed in Materials Project.

```
Tm2TeO2
1.0
3.8327 0.0000 0.0000
-1.9163 3.3192 0.0000
0.0000 0.0000 14.1481
Tm Te O
4 2 4
Cartesian
0.0000 2.2128 1.3685
0.0000 2.2128 5.7056
1.9163 1.1064 8.4425
1.9163 1.1064 12.7796
0.0000 0.0000 3.5370
0.0000 0.0000 10.6110
0.0000 2.2128 7.9185
0.0000 2.2128 13.3036
1.9163 1.1064 0.8445
1.9163 1.1064 6.2296
```

Results
- Final energy: -24.75 eV per atom
- Symmetry: P6_3/mmc, No. 194
- Size of the total moment: 0.00 μB/cell



Record 2
First-principles (r2SCAN) data for a geometry-optimized UTeO structure, as listed in Materials Project.

```
UTeO
1.0
3.9256 0.0000 0.0000
0.0000 3.9256 0.0000
0.0000 0.0000 8.7645
U Te O
2 2 2
Cartesian
0.9814 0.9814 1.2534
2.9442 2.9442 7.5111
0.9814 0.9814 5.8364
2.9442 2.9442 2.9280
0.9814 2.9442 0.0000
2.9442 0.9814 0.0000
```

Results
- Final energy: -39.47 eV per atom
- Symmetry: P4/nmm, No. 129
- Size of the total moment: 4.00 μB/cell



Record 3
First-principles (r2SCAN) data for a geometry-optimized Y2Te5O13 structure, as listed in Materials Project.

```
Y2Te5O13
1.0
6.9681 0.0000 0.0000
2.2406 8.3625 0.0000
0.5726 0.0503 10.5596
Y Te O
4 10 26
Cartesian
0.7481 2.2005 2.7653
4.3590 3.9703 3.3913
5.4223 4.4425 7.1684
9.0331 6.2123 7.7943
1.9814 2.9525 6.4136
2.9536 6.7289 1.4674
3.3546 3.3497 10.3978
4.2778 7.3718 5.0013
5.5191 7.5803 8.4762
4.2622 0.8325 2.0835
5.5034 1.0409 5.5583
6.4267 5.0631 0.1619
6.8277 1.6839 9.0922
7.7998 5.4603 4.1460
1.1470 2.9306 0.6770
0.5594 0.1329 2.0294
1.4837 2.2931 8.2185
2.5810 6.8754 5.6483
2.1814 4.1265 4.1693
3.1344 4.1789 7.2280
4.2860 6.1809 8.3345
4.0935 6.2153 2.8654
2.9648 1.8844 2.9268
3.5461 4.3013 1.2304
4.9582 8.2245 6.6054
3.6442 1.6347 0.2170
5.0352 5.6517 5.2538
4.7461 2.7611 5.3058
6.1371 6.7780 10.3427
4.8230 0.1882 3.9542
6.2352 4.1115 9.3293
6.8165 6.5283 7.6329
5.6878 2.1975 7.6942
5.4953 2.2319 2.2251
6.6469 4.2339 3.3316
7.5998 4.2863 6.3903
7.2003 1.5374 4.9113
8.2976 6.1197 2.3412
9.2219 8.2799 8.5303
8.6342 5.4822 9.8827
```

Results
- Final energy: -14.17 eV per atom
- Symmetry: P-1, No. 2
- Size of the total moment: 0.00 μB/cell



Record 4
First-principles (r2SCAN) data for a geometry-optimized Y2Te4O11 structure, as listed in Materials Project.

```
Y2Te4O11
1.0
6.1905 -2.5581 0.0000
6.1905 2.5581 0.0000
-4.3671 0.0000 15.4853
Y Te O
4 8 22
Cartesian
0.5115 1.2872 14.9188
5.3188 1.2872 8.3091
2.6950 -1.2872 7.1762
7.5024 -1.2872 0.5665
1.8717 1.4377 9.7031
3.3690 1.4299 4.6594
6.8284 1.4299 3.0832
3.9586 1.4377 13.5249
4.0553 -1.4377 1.9604
1.1855 -1.4299 12.4021
4.6448 -1.4299 10.8259
6.1421 -1.4377 5.7822
4.1269 2.1389 6.2539
6.0705 2.1389 1.4887
-1.5630 0.2256 14.6517
0.3216 0.3307 9.7110
0.6205 -0.2256 6.9091
0.7385 0.2896 12.8911
2.5052 -0.3307 1.9684
2.9357 0.5613 8.4400
5.0987 0.7714 3.8713
2.9220 -0.2896 5.1485
2.8946 0.5613 14.7879
5.1193 -0.5613 0.6974
5.0918 0.2896 10.3368
2.9151 -0.7714 11.6140
5.0781 -0.5613 7.0453
5.5087 0.3307 13.5169
7.2754 -0.2896 2.5942
7.3933 0.2256 8.5762
7.6922 -0.3307 5.7743
9.5769 -0.2256 0.8336
1.9433 -2.1389 13.9966
3.8870 -2.1389 9.2314
```

Results
- Final energy: -14.27 eV per atom
- Symmetry: C2/c, No. 15
- Size of the total moment: 0.00 μB/cell



Record 5
First-principles (r2SCAN) data for a geometry-optimized Yb2TeO2 structure, as listed in Materials Project.

```
Yb2TeO2
1.0
-1.9215 1.9215 6.1026
1.9215 -1.9215 6.1026
1.9215 1.9215 -6.1026
Yb Te O
2 1 2
Cartesian
0.0000 0.0000 2.0085
0.0000 0.0000 10.1967
0.0000 0.0000 6.1026
1.9215 0.0000 3.0513
0.0000 1.9215 3.0513
```

Results
- Energy above the lowest structure with this stoichiometry: 0 meV per atom
- Final energy: -25.40 eV per atom
- Symmetry: I4/mmm, No. 139
- Size of the total moment: 0.00 μB/cell



Record 6
First-principles (r2SCAN) data for a geometry-optimized Yb2TeO2 structure, as listed in Materials Project.

```
Yb2TeO2
1.0
3.8136 0.0000 0.0000
-1.9068 3.3027 0.0000
0.0000 0.0000 7.0627
Yb Te O
2 1 2
Cartesian
0.0000 2.2018 2.1697
1.9068 1.1009 4.8930
0.0000 0.0000 0.0000
0.0000 2.2018 4.3696
1.9068 1.1009 2.6931
```

Results
- Energy above the lowest structure with this stoichiometry: 96 meV per atom
- Final energy: -25.31 eV per atom
- Symmetry: P-3m1, No. 164
- Size of the total moment: 0.00 μB/cell



Record 7
First-principles (r2SCAN) data for a geometry-optimized Zn3TeO6 structure, as listed in Materials Project.

```
Zn3TeO6
1.0
7.4409 -4.4239 0.0000
7.4409 4.4239 0.0000
-0.5415 0.0000 10.3359
Zn Te O
18 6 36
Cartesian
5.2716 3.1995 2.5080
2.8012 1.2222 4.4081
4.5121 2.0836 9.7361
7.0347 2.6436 7.7519
9.3394 3.1995 2.6599
6.8095 1.3301 4.6379
2.5305 -1.2222 9.5761
7.8015 1.3301 0.5301
9.5573 2.0836 5.7677
4.7829 -2.0836 4.5682
6.5388 -1.3301 9.8058
11.8098 1.2222 0.7598
7.5307 -1.3301 5.6980
5.0009 -3.1995 7.6760
7.3055 -2.6436 2.5840
9.8281 -2.0836 0.5998
11.5390 -1.2222 5.9278
9.0686 -3.1995 7.8279
0.0000 0.0000 0.0000
-0.2708 0.0000 5.1679
4.6228 0.0221 7.1930
4.8936 -0.0221 2.0251
9.4466 0.0221 8.3108
9.7174 -0.0221 3.1429
0.9687 0.1923 1.6324
6.3426 3.0068 0.7401
6.0478 2.9773 5.7915
0.6979 -0.1923 6.8003
3.5897 1.3323 6.2204
4.0455 1.3628 1.0015
3.1655 0.1759 8.4764
8.2684 3.0068 4.4278
5.6481 1.3901 3.0973
8.0216 2.9773 9.7123
5.5171 1.3853 8.2293
3.4363 -0.1759 3.3085
3.8605 -1.3323 1.0524
6.3143 0.0152 0.7479
3.7747 -1.3628 6.1694
6.0436 -0.0152 5.9159
8.5523 1.3853 7.2745
8.9629 1.3901 2.0706
5.3773 -1.3901 8.2652
5.7879 -1.3853 3.0614
8.2967 0.0152 4.4200
10.5655 1.3628 4.1664
8.0259 -0.0152 9.5880
10.4798 1.3323 9.2835
10.9040 0.1759 7.0274
8.8231 -1.3853 2.1066
6.3186 -2.9773 0.6236
8.6921 -1.3901 7.2386
6.0719 -3.0068 5.9081
11.1748 -0.1759 1.8595
10.2947 -1.3628 9.3344
10.7505 -1.3323 4.1155
13.6423 0.1923 3.5355
8.2924 -2.9773 4.5443
7.9976 -3.0068 9.5958
13.3715 -0.1923 8.7035
```

Results
- Final energy: -10.29 eV per atom
- Symmetry: C2/c, No. 15
- Size of the total moment: 0.00 μB/cell



Record 8
First-principles (r2SCAN) data for a geometry-optimized Zn2Te3O8 structure, as listed in Materials Project.

```
Zn2Te3O8
1.0
6.3176 -2.5959 0.0000
6.3176 2.5959 0.0000
-1.9664 0.0000 11.6323
Zn Te O
4 6 16
Cartesian
2.2068 1.1412 3.9854
1.2236 -1.1412 9.8016
9.4451 1.1412 1.8307
8.4619 -1.1412 7.6469
2.7369 1.5371 11.0203
5.8260 1.8830 2.9081
6.9486 1.5371 6.4282
3.7201 -1.5371 5.2042
4.8428 -1.8830 8.7242
7.9318 -1.5371 0.6120
4.0168 2.1432 7.5047
0.1711 0.5413 7.4525
5.6687 2.1432 9.9438
2.2426 0.5838 9.4689
1.1543 -0.5413 1.6364
3.2736 0.1017 0.4384
2.2904 -0.1017 6.2545
3.2258 -0.5838 3.6527
7.4430 0.5838 7.9796
8.3784 0.1017 5.3778
7.3952 -0.1017 11.1940
9.5144 0.5413 9.9960
8.4262 -0.5838 2.1635
5.0000 -2.1432 1.6885
10.4976 -0.5413 4.1798
6.6519 -2.1432 4.1277
```

Results
- Final energy: -12.23 eV per atom
- Symmetry: C2/c, No. 15
- Size of the total moment: 0.00 μB/cell



no.,calculated formation energy (kJ/mol of formula units)
1,-1558
2,-684
3,-3662
4,-3337
5,-1602
6,-1556
7,-1441
8,-1649